No. 1
A plane-wave DFT calculation with PBE was carried out for a relaxed K2P2H2O7 crystal.

Calculated values
- Magnetization: 0.00 μB/cell
- Energy relative to the lowest polymorph listed for this composition: 13 meV per atom
- ΔE_f: -2340 meV/atom
- Theoretical density: 2.33 Mg/m³

abc: 17.669 6.896 9.346
angles: 72.54 90.00 90.00
Positions (direct):
P (0.335, 0.796, 0.486)
P (0.663, 0.890, 0.040)
P (0.665, 0.204, 0.514)
P (0.165, 0.796, 0.486)
P (0.835, 0.204, 0.514)
P (0.163, 0.110, 0.960)
P (0.337, 0.110, 0.960)
P (0.384, 0.162, 0.258)
P (0.116, 0.162, 0.258)
P (0.616, 0.838, 0.742)
P (0.884, 0.838, 0.742)
P (0.837, 0.890, 0.040)
H (0.056, 0.751, 0.128)
H (0.570, 0.460, 0.753)
H (0.750, 0.499, 0.170)
H (0.944, 0.249, 0.872)
H (0.556, 0.249, 0.872)
H (0.430, 0.540, 0.247)
H (0.930, 0.460, 0.753)
H (0.750, 0.260, 0.217)
H (0.250, 0.501, 0.830)
H (0.070, 0.540, 0.247)
H (0.444, 0.751, 0.128)
H (0.250, 0.740, 0.783)
K (0.750, 0.372, 0.840)
K (0.750, 0.735, 0.439)
K (0.084, 0.632, 0.840)
K (0.250, 0.628, 0.160)
K (0.584, 0.368, 0.160)
K (0.916, 0.368, 0.160)
K (0.952, 0.771, 0.402)
K (0.452, 0.229, 0.598)
K (0.048, 0.229, 0.598)
K (0.548, 0.771, 0.402)
K (0.416, 0.632, 0.840)
K (0.250, 0.265, 0.561)
O (0.030, 0.625, 0.185)
O (0.367, 0.228, 0.078)
O (0.348, 0.324, 0.314)
O (0.162, 0.916, 0.596)
O (0.652, 0.676, 0.686)
O (0.339, 0.264, 0.808)
O (0.633, 0.772, 0.922)
O (0.890, 0.373, 0.499)
O (0.867, 0.772, 0.922)
O (0.466, 0.119, 0.290)
O (0.966, 0.881, 0.710)
O (0.662, 0.084, 0.404)
O (0.848, 0.676, 0.686)
O (0.838, 0.084, 0.404)
O (0.624, 0.091, 0.011)
O (0.110, 0.627, 0.501)
O (0.336, 0.950, 0.314)
O (0.250, 0.618, 0.870)
O (0.250, 0.058, 0.017)
O (0.338, 0.916, 0.596)
O (0.250, 0.698, 0.483)
O (0.750, 0.942, 0.983)
O (0.034, 0.119, 0.290)
O (0.470, 0.625, 0.185)
O (0.836, 0.050, 0.686)
O (0.661, 0.736, 0.192)
O (0.750, 0.302, 0.517)
O (0.390, 0.627, 0.501)
O (0.124, 0.909, 0.989)
O (0.664, 0.050, 0.686)
O (0.161, 0.264, 0.808)
O (0.970, 0.375, 0.815)
O (0.610, 0.373, 0.499)
O (0.839, 0.736, 0.192)
O (0.534, 0.881, 0.710)
O (0.750, 0.382, 0.130)
O (0.164, 0.950, 0.314)
O (0.530, 0.375, 0.815)
O (0.376, 0.909, 0.989)
O (0.876, 0.091, 0.011)
O (0.152, 0.324, 0.314)
O (0.133, 0.228, 0.078)

***

No. 2
A plane-wave DFT calculation with PBE was carried out for a relaxed Tb2CdNi2 crystal.

Calculated values
- ΔE_f: -427 meV/atom
- Theoretical density: 9.15 Mg/m³

abc: 7.341 7.341 3.690
angles: 90.00 90.00 90.00
Positions (direct):
Tb (0.821, 0.679, 0.500)
Tb (0.179, 0.321, 0.500)
Tb (0.679, 0.179, 0.500)
Tb (0.321, 0.821, 0.500)
Ni (0.616, 0.884, 0.000)
Ni (0.884, 0.384, 0.000)
Ni (0.116, 0.616, 0.000)
Ni (0.384, 0.116, 0.000)
Cd (0.500, 0.500, 0.000)
Cd (0.000, 0.000, 0.000)

***

No. 3
A plane-wave DFT calculation with PBE was carried out for a relaxed MgCuAs2O7 crystal.

Calculated values
- Magnetization: 0.00 μB/cell
- ΔE_f: -1811 meV/atom
- Theoretical density: 4.19 Mg/m³

abc: 8.497 7.210 9.776
angles: 67.65 90.00 90.00
Positions (direct):
As (0.722, 0.965, 0.964)
As (0.278, 0.035, 0.036)
As (0.774, 0.561, 0.754)
As (0.726, 0.561, 0.254)
As (0.226, 0.439, 0.246)
As (0.778, 0.965, 0.464)
As (0.274, 0.439, 0.746)
As (0.222, 0.035, 0.536)
O (0.865, 0.743, 0.595)
O (0.237, 0.643, 0.297)
O (0.401, 0.472, 0.604)
O (0.417, 0.988, 0.172)
O (0.411, 0.364, 0.229)
O (0.902, 0.930, 0.906)
O (0.599, 0.528, 0.396)
O (0.763, 0.357, 0.703)
O (0.635, 0.743, 0.095)
O (0.083, 0.988, 0.672)
O (0.583, 0.012, 0.828)
O (0.365, 0.257, 0.905)
O (0.098, 0.070, 0.094)
O (0.901, 0.528, 0.896)
O (0.774, 0.141, 0.544)
O (0.598, 0.930, 0.406)
O (0.274, 0.859, 0.956)
O (0.263, 0.643, 0.797)
O (0.226, 0.859, 0.456)
O (0.737, 0.357, 0.203)
O (0.726, 0.141, 0.044)
O (0.089, 0.364, 0.729)
O (0.911, 0.636, 0.271)
O (0.099, 0.472, 0.104)
O (0.135, 0.257, 0.405)
O (0.589, 0.636, 0.771)
O (0.917, 0.012, 0.328)
O (0.402, 0.070, 0.594)
Mg (0.073, 0.733, 0.899)
Mg (0.927, 0.267, 0.101)
Mg (0.573, 0.267, 0.601)
Mg (0.427, 0.733, 0.399)
Cu (0.942, 0.202, 0.669)
Cu (0.558, 0.202, 0.169)
Cu (0.058, 0.798, 0.331)
Cu (0.442, 0.798, 0.831)

***

No. 4
A plane-wave DFT calculation with PBE was carried out for a relaxed Na2Ca3ZrS6O24 crystal.

Calculated values
- Magnetization: 0.00 μB/cell
- ΔE_f: -2478 meV/atom
- Theoretical density: 2.38 Mg/m³

abc: 9.142 9.142 24.128
angles: 90.00 90.00 120.00
Positions (direct):
Zr (0.000, 0.000, 0.848)
Zr (0.000, 0.000, 0.353)
Zr (0.333, 0.667, 0.019)
O (0.195, 0.179, 0.803)
O (0.647, 0.532, 0.634)
O (0.199, 0.018, 0.587)
O (0.030, 0.200, 0.912)
O (0.651, 0.525, 0.924)
O (0.477, 0.340, 0.420)
O (0.540, 0.691, 0.257)
O (0.660, 0.137, 0.420)
O (0.697, 0.542, 0.249)
O (0.544, 0.851, 0.759)
O (0.700, 0.157, 0.752)
O (0.197, 0.015, 0.301)
O (0.307, 0.456, 0.759)
O (0.865, 0.316, 0.533)
O (0.351, 0.879, 0.867)
O (0.172, 0.190, 0.405)
O (0.152, 0.460, 0.257)
O (0.800, 0.830, 0.912)
O (0.149, 0.693, 0.759)
O (0.136, 0.703, 0.465)
O (0.192, 0.210, 0.702)
O (0.817, 0.803, 0.301)
O (0.136, 0.488, 0.580)
O (0.790, 0.982, 0.702)
O (0.018, 0.828, 0.405)
O (0.533, 0.885, 0.365)
O (0.475, 0.126, 0.924)
O (0.306, 0.848, 0.967)
O (0.451, 0.135, 0.533)
O (0.984, 0.805, 0.803)
O (0.194, 0.980, 0.200)
O (0.297, 0.434, 0.465)
O (0.821, 0.016, 0.803)
O (0.470, 0.370, 0.131)
O (0.170, 0.970, 0.912)
O (0.143, 0.648, 0.071)
O (0.818, 0.801, 0.587)
O (0.352, 0.467, 0.365)
O (0.866, 0.550, 0.032)
O (0.512, 0.648, 0.580)
O (0.566, 0.864, 0.465)
O (0.121, 0.472, 0.867)
O (0.874, 0.349, 0.924)
O (0.197, 0.191, 0.086)
O (0.684, 0.549, 0.533)
O (0.115, 0.648, 0.365)
O (0.786, 0.806, 0.200)
O (0.843, 0.542, 0.752)
O (0.899, 0.530, 0.131)
O (0.982, 0.182, 0.587)
O (0.809, 0.006, 0.086)
O (0.309, 0.848, 0.257)
O (0.885, 0.353, 0.634)
O (0.352, 0.864, 0.580)
O (0.458, 0.155, 0.249)
O (0.630, 0.101, 0.131)
O (0.450, 0.315, 0.032)
O (0.468, 0.115, 0.634)
O (0.505, 0.857, 0.071)
O (0.863, 0.523, 0.420)
O (0.018, 0.808, 0.702)
O (0.810, 0.982, 0.405)
O (0.985, 0.183, 0.301)
O (0.352, 0.495, 0.071)
O (0.542, 0.694, 0.967)
O (0.458, 0.300, 0.752)
O (0.994, 0.803, 0.086)
O (0.845, 0.303, 0.249)
O (0.152, 0.458, 0.967)
O (0.528, 0.649, 0.867)
O (0.020, 0.214, 0.200)
O (0.685, 0.134, 0.032)
S (0.628, 0.672, 0.916)
S (0.043, 0.372, 0.916)
S (0.709, 0.709, 0.251)
S (0.965, 0.335, 0.583)
S (0.370, 0.035, 0.583)
S (0.710, 0.002, 0.751)
S (0.998, 0.708, 0.751)
S (0.035, 0.669, 0.414)
S (0.292, 0.290, 0.751)
S (0.328, 0.957, 0.916)
S (0.664, 0.033, 0.081)
S (0.331, 0.366, 0.414)
S (0.634, 0.965, 0.414)
S (0.291, 0.999, 0.251)
S (0.001, 0.291, 0.251)
S (0.967, 0.630, 0.081)
S (0.665, 0.630, 0.583)
S (0.370, 0.336, 0.081)
Ca (0.667, 0.333, 0.485)
Ca (0.000, 0.000, 0.150)
Ca (0.333, 0.667, 0.814)
Ca (0.000, 0.000, 0.645)
Ca (0.333, 0.667, 0.517)
Ca (0.667, 0.333, 0.187)
Ca (0.333, 0.667, 0.318)
Ca (0.667, 0.333, 0.681)
Ca (0.667, 0.333, 0.983)
Na (0.667, 0.333, 0.337)
Na (0.333, 0.667, 0.175)
Na (0.667, 0.333, 0.828)
Na (0.000, 0.000, 0.507)
Na (0.333, 0.667, 0.657)
Na (0.000, 0.000, 0.004)

***

No. 5
A plane-wave DFT calculation with PBE was carried out for a relaxed Li2NbS3 crystal.

Calculated values
- Magnetization: 0.00 μB/cell
- Energy relative to the lowest polymorph listed for this composition: 1 meV per atom
- ΔE_f: -1399 meV/atom
- Theoretical density: 3.29 Mg/m³

abc: 6.204 6.204 12.464
angles: 84.42 84.42 119.55
Positions (direct):
S (0.123, 0.601, 0.136)
S (0.601, 0.123, 0.636)
S (0.774, 0.949, 0.135)
S (0.226, 0.051, 0.865)
S (0.295, 0.468, 0.620)
S (0.949, 0.774, 0.635)
S (0.877, 0.399, 0.864)
S (0.705, 0.532, 0.380)
S (0.051, 0.226, 0.365)
S (0.399, 0.877, 0.364)
S (0.468, 0.295, 0.120)
S (0.532, 0.705, 0.880)
Li (0.913, 0.087, 0.750)
Li (0.087, 0.913, 0.250)
Li (0.323, 0.148, 0.501)
Li (0.677, 0.852, 0.499)
Li (0.148, 0.323, 0.001)
Li (0.000, 0.500, 0.500)
Li (0.852, 0.677, 0.999)
Li (0.500, 0.000, 0.000)
Nb (0.446, 0.554, 0.250)
Nb (0.554, 0.446, 0.750)
Nb (0.727, 0.273, 0.250)
Nb (0.273, 0.727, 0.750)

***

No. 6
A plane-wave DFT calculation with PBE was carried out for a relaxed SmBeCu4 crystal.

Calculated values
- Magnetization: 0.02 μB/cell
- ΔE_f: -135 meV/atom
- Theoretical density: 7.82 Mg/m³

abc: 5.123 5.123 3.862
angles: 90.00 90.00 120.00
Positions (direct):
Be (0.667, 0.333, 0.000)
Cu (0.828, 0.172, 0.500)
Cu (0.000, 0.000, 0.000)
Cu (0.828, 0.657, 0.500)
Cu (0.343, 0.172, 0.500)
Sm (0.333, 0.667, 0.000)

***

No. 7
A plane-wave DFT calculation with PBE was carried out for a relaxed Na4GaSi2SnPO12 crystal.

Calculated values
- Magnetization: 0.00 μB/cell
- ΔE_f: -2581 meV/atom
- Theoretical density: 3.54 Mg/m³

abc: 9.012 9.012 22.321
angles: 90.01 89.99 119.74
Positions (direct):
P (0.997, 0.707, 0.752)
P (0.627, 0.670, 0.918)
P (0.330, 0.373, 0.418)
P (0.664, 0.040, 0.085)
P (0.960, 0.336, 0.585)
P (0.293, 0.003, 0.252)
O (0.117, 0.623, 0.358)
O (0.173, 0.195, 0.411)
O (0.299, 0.836, 0.977)
O (0.506, 0.861, 0.078)
O (0.497, 0.367, 0.143)
O (0.117, 0.494, 0.858)
O (0.831, 0.034, 0.810)
O (0.028, 0.844, 0.411)
O (0.156, 0.972, 0.911)
O (0.310, 0.483, 0.756)
O (0.705, 0.154, 0.027)
O (0.043, 0.216, 0.191)
O (0.544, 0.836, 0.476)
O (0.784, 0.957, 0.691)
O (0.472, 0.161, 0.244)
O (0.486, 0.314, 0.745)
O (0.377, 0.883, 0.858)
O (0.298, 0.457, 0.473)
O (0.210, 0.035, 0.307)
O (0.831, 0.790, 0.309)
O (0.846, 0.295, 0.527)
O (0.543, 0.702, 0.973)
O (0.840, 0.549, 0.024)
O (0.451, 0.290, 0.024)
O (0.372, 0.487, 0.361)
O (0.184, 0.023, 0.589)
O (0.162, 0.691, 0.755)
O (0.489, 0.638, 0.577)
O (0.965, 0.790, 0.807)
O (0.829, 0.025, 0.088)
O (0.839, 0.528, 0.744)
O (0.353, 0.848, 0.578)
O (0.710, 0.549, 0.524)
O (0.686, 0.514, 0.245)
O (0.038, 0.821, 0.694)
O (0.819, 0.980, 0.412)
O (0.633, 0.503, 0.643)
O (0.139, 0.494, 0.578)
O (0.877, 0.369, 0.640)
O (0.309, 0.838, 0.255)
O (0.184, 0.163, 0.088)
O (0.851, 0.496, 0.422)
O (0.805, 0.827, 0.911)
O (0.517, 0.690, 0.256)
O (0.784, 0.827, 0.191)
O (0.506, 0.883, 0.358)
O (0.362, 0.511, 0.077)
O (0.170, 0.482, 0.255)
O (0.498, 0.123, 0.642)
O (0.179, 0.962, 0.194)
O (0.164, 0.701, 0.477)
O (0.642, 0.504, 0.922)
O (0.496, 0.358, 0.422)
O (0.977, 0.816, 0.089)
O (0.152, 0.647, 0.078)
O (0.518, 0.830, 0.755)
O (0.837, 0.816, 0.588)
O (0.513, 0.628, 0.861)
O (0.823, 0.305, 0.244)
O (0.975, 0.171, 0.588)
O (0.451, 0.160, 0.524)
O (0.850, 0.357, 0.922)
O (0.877, 0.502, 0.142)
O (0.164, 0.456, 0.976)
O (0.210, 0.169, 0.809)
O (0.504, 0.149, 0.922)
O (0.643, 0.150, 0.422)
O (0.020, 0.181, 0.912)
O (0.966, 0.169, 0.310)
O (0.695, 0.177, 0.744)
O (0.173, 0.216, 0.691)
O (0.631, 0.123, 0.140)
Sn (0.001, 0.001, 0.149)
Sn (0.332, 0.666, 0.316)
Sn (0.334, 0.668, 0.816)
Sn (0.999, 0.999, 0.649)
Sn (0.666, 0.333, 0.983)
Sn (0.667, 0.334, 0.483)
Na (0.706, 0.674, 0.417)
Na (0.663, 0.695, 0.083)
Na (0.993, 0.628, 0.250)
Na (0.967, 0.298, 0.414)
Na (0.036, 0.700, 0.581)
Na (0.332, 0.662, 0.164)
Na (0.665, 0.329, 0.831)
Na (0.998, 0.996, 0.498)
Na (0.004, 0.002, 0.998)
Na (0.660, 0.961, 0.583)
Na (0.638, 0.004, 0.250)
Na (0.372, 0.007, 0.750)
Na (0.300, 0.964, 0.081)
Na (0.671, 0.335, 0.331)
Na (0.330, 0.029, 0.417)
Na (0.702, 0.033, 0.914)
Na (0.633, 0.631, 0.747)
Na (0.305, 0.337, 0.583)
Na (0.996, 0.362, 0.750)
Na (0.039, 0.340, 0.083)
Na (0.369, 0.367, 0.247)
Na (0.971, 0.670, 0.917)
Na (0.326, 0.294, 0.917)
Na (0.338, 0.668, 0.664)
Si (0.663, 0.623, 0.585)
Si (0.329, 0.957, 0.918)
Si (0.295, 0.292, 0.751)
Si (0.377, 0.337, 0.085)
Si (0.375, 0.039, 0.584)
Si (0.708, 0.705, 0.251)
Si (0.042, 0.372, 0.918)
Si (0.961, 0.625, 0.084)
Si (0.043, 0.671, 0.418)
Si (0.628, 0.958, 0.418)
Si (0.996, 0.290, 0.252)
Si (0.710, 0.004, 0.752)
Ga (0.009, 0.013, 0.851)
Ga (0.654, 0.325, 0.684)
Ga (0.320, 0.658, 0.018)
Ga (0.342, 0.680, 0.518)
Ga (0.675, 0.346, 0.184)
Ga (0.987, 0.991, 0.351)

***

No. 8
A plane-wave DFT calculation with PBE was carried out for a relaxed CeAlCo4 crystal.

Calculated values
- Magnetization: 2.98 μB/cell
- Energy relative to the lowest polymorph listed for this composition: 0 meV per atom
- ΔE_f: -269 meV/atom
- Theoretical density: 7.81 Mg/m³

abc: 4.065 4.911 4.911
angles: 60.83 90.00 90.00
Positions (direct):
Co (0.500, 0.000, 0.500)
Co (0.000, 0.309, 0.309)
Co (0.000, 0.691, 0.691)
Co (0.500, 0.500, 0.000)
Al (0.500, 0.500, 0.500)
Ce (0.000, 0.000, 0.000)

***

Among the records above, which one has the lowest theoretical density?
K2P2H2O7